Model A:
This record from Materials Project describes a geometry-optimized RbNaB4H4O13 structure. The functional is GGA-PBE.

Crystal system = monoclinic
Total magnetic moment = 32.0 μB per cell

POSCAR file:
```
RbNaB4H4O13
1.0
11.237 0.000 0.000
0.000 7.678 0.000
0.000 1.443 13.315
Rb Na B H O
4 4 16 16 52
Direct
0.605 0.968 0.635 Rb
0.105 0.032 0.865 Rb
0.395 0.032 0.365 Rb
0.895 0.968 0.135 Rb
0.593 0.905 0.923 Na
0.093 0.095 0.577 Na
0.407 0.095 0.077 Na
0.907 0.905 0.423 Na
0.592 0.355 0.407 B
0.092 0.645 0.093 B
0.408 0.645 0.593 B
0.908 0.355 0.907 B
0.822 0.613 0.298 B
0.322 0.387 0.202 B
0.178 0.387 0.702 B
0.678 0.613 0.798 B
0.606 0.631 0.287 B
0.106 0.369 0.213 B
0.394 0.369 0.713 B
0.894 0.631 0.787 B
0.706 0.357 0.248 B
0.206 0.643 0.252 B
0.294 0.643 0.752 B
0.794 0.357 0.748 B
0.560 0.309 0.760 H
0.060 0.691 0.740 H
0.440 0.691 0.240 H
0.940 0.309 0.260 H
0.505 0.343 0.537 H
0.005 0.657 0.963 H
0.495 0.657 0.463 H
0.995 0.343 0.037 H
0.771 0.306 0.607 H
0.271 0.694 0.893 H
0.229 0.694 0.393 H
0.729 0.306 0.107 H
0.000 0.615 0.312 H
0.500 0.385 0.188 H
0.000 0.385 0.688 H
0.500 0.615 0.812 H
0.616 0.497 0.215 O
0.116 0.503 0.285 O
0.384 0.503 0.785 O
0.884 0.497 0.715 O
0.819 0.443 0.276 O
0.319 0.557 0.224 O
0.181 0.557 0.724 O
0.681 0.443 0.776 O
0.653 0.261 0.341 O
0.153 0.739 0.159 O
0.347 0.739 0.659 O
0.847 0.261 0.841 O
0.570 0.532 0.386 O
0.070 0.468 0.114 O
0.430 0.468 0.614 O
0.930 0.532 0.886 O
0.721 0.717 0.298 O
0.221 0.283 0.202 O
0.279 0.283 0.702 O
0.779 0.717 0.798 O
0.512 0.758 0.259 O
0.012 0.242 0.241 O
0.488 0.242 0.741 O
0.988 0.758 0.759 O
0.549 0.266 0.494 O
0.049 0.734 0.006 O
0.451 0.734 0.506 O
0.951 0.266 0.994 O
0.724 0.239 0.173 O
0.224 0.761 0.327 O
0.276 0.761 0.827 O
0.776 0.239 0.673 O
0.928 0.694 0.316 O
0.428 0.306 0.184 O
0.072 0.306 0.684 O
0.572 0.694 0.816 O
0.699 0.966 0.409 O
0.199 0.034 0.091 O
0.301 0.034 0.591 O
0.801 0.966 0.909 O
0.541 0.300 0.960 O
0.041 0.700 0.540 O
0.459 0.700 0.040 O
0.959 0.300 0.460 O
0.643 0.659 0.064 O
0.143 0.341 0.436 O
0.357 0.341 0.936 O
0.857 0.659 0.564 O
0.563 0.889 0.107 O
0.063 0.111 0.393 O
0.437 0.111 0.893 O
0.937 0.889 0.607 O
```

=====

Model B:
This record from Materials Project describes a geometry-optimized RbNaB4H4O13 structure. The functional is GGA-PBE.

Crystal system = monoclinic
Total magnetic moment = 16.0 μB per cell

POSCAR file:
```
RbNaB4H4O13
1.0
11.195 0.000 0.000
0.000 7.280 0.000
0.000 0.768 14.402
Rb Na B H O
4 4 16 16 52
Direct
0.586 0.966 0.617 Rb
0.086 0.034 0.883 Rb
0.414 0.034 0.383 Rb
0.914 0.966 0.117 Rb
0.602 0.024 0.843 Na
0.102 0.976 0.657 Na
0.398 0.976 0.157 Na
0.898 0.024 0.343 Na
0.597 0.364 0.410 B
0.097 0.636 0.090 B
0.403 0.636 0.590 B
0.903 0.364 0.910 B
0.816 0.629 0.294 B
0.316 0.371 0.206 B
0.184 0.371 0.706 B
0.684 0.629 0.794 B
0.598 0.635 0.291 B
0.098 0.365 0.209 B
0.402 0.365 0.709 B
0.902 0.635 0.791 B
0.700 0.347 0.259 B
0.200 0.653 0.241 B
0.300 0.653 0.741 B
0.800 0.347 0.759 B
0.567 0.319 0.749 H
0.067 0.681 0.751 H
0.433 0.681 0.251 H
0.933 0.319 0.249 H
0.512 0.354 0.536 H
0.012 0.646 0.964 H
0.488 0.646 0.464 H
0.988 0.354 0.036 H
0.771 0.270 0.632 H
0.271 0.730 0.868 H
0.229 0.730 0.368 H
0.729 0.270 0.132 H
0.996 0.638 0.295 H
0.496 0.362 0.205 H
0.004 0.362 0.705 H
0.504 0.638 0.795 H
0.610 0.482 0.227 O
0.110 0.518 0.273 O
0.390 0.518 0.773 O
0.890 0.482 0.727 O
0.815 0.444 0.280 O
0.315 0.556 0.220 O
0.185 0.556 0.720 O
0.685 0.444 0.780 O
0.654 0.255 0.348 O
0.154 0.745 0.152 O
0.346 0.745 0.652 O
0.846 0.255 0.848 O
0.569 0.545 0.388 O
0.069 0.455 0.112 O
0.431 0.455 0.612 O
0.931 0.545 0.888 O
0.713 0.733 0.296 O
0.213 0.267 0.204 O
0.287 0.267 0.704 O
0.787 0.733 0.796 O
0.503 0.761 0.262 O
0.003 0.239 0.238 O
0.497 0.239 0.738 O
0.997 0.761 0.762 O
0.562 0.279 0.494 O
0.062 0.721 0.006 O
0.438 0.721 0.506 O
0.938 0.279 0.994 O
0.721 0.206 0.193 O
0.221 0.794 0.307 O
0.279 0.794 0.807 O
0.779 0.206 0.693 O
0.923 0.721 0.303 O
0.423 0.279 0.197 O
0.077 0.279 0.697 O
0.577 0.721 0.803 O
0.713 0.980 0.420 O
0.213 0.020 0.080 O
0.287 0.020 0.580 O
0.787 0.980 0.920 O
0.548 0.459 0.003 O
0.048 0.541 0.497 O
0.452 0.541 0.997 O
0.952 0.459 0.503 O
0.652 0.737 0.061 O
0.152 0.263 0.439 O
0.348 0.263 0.939 O
0.848 0.737 0.561 O
0.563 0.835 0.047 O
0.063 0.165 0.453 O
0.437 0.165 0.953 O
0.937 0.835 0.547 O
```

=====

Result of the stability comparison: model B is the most stable of them.

=====

Model A:
This record from Materials Project describes a geometry-optimized NaZn2B5H20 structure. The functional is GGA-PBE.

Crystal system = monoclinic
Total magnetic moment = 0.0 μB per cell

POSCAR file:
```
NaZn2B5H20
1.0
1.076 9.353 0.924
-2.266 -4.711 8.425
16.067 -2.156 3.116
Na Zn B H
4 8 20 80
Direct
0.646 0.290 0.073 Na
0.854 0.710 0.573 Na
0.354 0.710 0.927 Na
0.146 0.290 0.427 Na
0.128 0.307 0.724 Zn
0.372 0.693 0.224 Zn
0.872 0.693 0.276 Zn
0.628 0.307 0.776 Zn
0.911 0.858 0.870 Zn
0.589 0.142 0.370 Zn
0.089 0.142 0.130 Zn
0.411 0.858 0.630 Zn
0.779 0.506 0.192 B
0.721 0.494 0.692 B
0.221 0.494 0.808 B
0.279 0.506 0.308 B
0.859 0.679 0.407 B
0.641 0.321 0.907 B
0.141 0.321 0.593 B
0.359 0.679 0.093 B
0.968 0.059 0.783 B
0.532 0.941 0.283 B
0.032 0.941 0.217 B
0.468 0.059 0.717 B
0.086 0.784 0.915 B
0.414 0.216 0.415 B
0.914 0.216 0.085 B
0.586 0.784 0.585 B
0.162 0.764 0.605 B
0.338 0.236 0.105 B
0.838 0.236 0.395 B
0.662 0.764 0.895 B
0.912 0.549 0.223 H
0.588 0.451 0.723 H
0.088 0.451 0.777 H
0.412 0.549 0.277 H
0.702 0.383 0.218 H
0.798 0.617 0.718 H
0.298 0.617 0.782 H
0.202 0.383 0.282 H
0.708 0.585 0.210 H
0.792 0.415 0.710 H
0.292 0.415 0.790 H
0.208 0.585 0.290 H
0.802 0.521 0.120 H
0.698 0.479 0.620 H
0.198 0.479 0.880 H
0.302 0.521 0.380 H
0.981 0.736 0.443 H
0.519 0.264 0.943 H
0.019 0.264 0.557 H
0.481 0.736 0.057 H
0.847 0.781 0.365 H
0.653 0.219 0.865 H
0.153 0.219 0.635 H
0.347 0.781 0.135 H
0.859 0.572 0.369 H
0.641 0.428 0.869 H
0.141 0.428 0.631 H
0.359 0.572 0.131 H
0.739 0.632 0.446 H
0.761 0.368 0.946 H
0.261 0.368 0.554 H
0.239 0.632 0.054 H
0.051 0.993 0.799 H
0.449 0.007 0.299 H
0.949 0.007 0.201 H
0.551 0.993 0.701 H
0.851 0.030 0.823 H
0.649 0.970 0.323 H
0.149 0.970 0.177 H
0.351 0.030 0.677 H
0.051 0.186 0.809 H
0.449 0.814 0.309 H
0.949 0.814 0.191 H
0.551 0.186 0.691 H
0.936 0.041 0.712 H
0.564 0.959 0.212 H
0.064 0.959 0.288 H
0.436 0.041 0.788 H
0.984 0.713 0.864 H
0.516 0.287 0.364 H
0.016 0.287 0.136 H
0.484 0.713 0.636 H
0.209 0.830 0.880 H
0.291 0.170 0.380 H
0.791 0.170 0.120 H
0.709 0.830 0.620 H
0.073 0.896 0.944 H
0.427 0.104 0.444 H
0.927 0.104 0.056 H
0.573 0.896 0.556 H
0.066 0.700 0.971 H
0.434 0.300 0.471 H
0.934 0.300 0.029 H
0.566 0.700 0.529 H
0.082 0.642 0.579 H
0.418 0.358 0.079 H
0.918 0.358 0.421 H
0.582 0.642 0.921 H
0.217 0.742 0.670 H
0.283 0.258 0.170 H
0.783 0.258 0.330 H
0.717 0.742 0.830 H
0.262 0.826 0.551 H
0.238 0.174 0.051 H
0.738 0.174 0.449 H
0.762 0.826 0.949 H
0.102 0.848 0.621 H
0.398 0.152 0.121 H
0.898 0.152 0.379 H
0.602 0.848 0.879 H
```

=====

Model B:
This record from Materials Project describes a geometry-optimized NaZn2B5H20 structure. The functional is GGA-PBE.

Crystal system = monoclinic
Total magnetic moment = 0.0 μB per cell

POSCAR file:
```
NaZn2B5H20
1.0
7.501 -0.155 5.239
-5.587 -7.154 2.023
7.827 -9.360 -11.482
Na Zn B H
4 8 20 80
Direct
0.671 0.305 0.065 Na
0.829 0.695 0.565 Na
0.329 0.695 0.935 Na
0.171 0.305 0.435 Na
0.125 0.295 0.728 Zn
0.375 0.705 0.228 Zn
0.875 0.705 0.272 Zn
0.625 0.295 0.772 Zn
0.891 0.865 0.873 Zn
0.609 0.135 0.373 Zn
0.109 0.135 0.127 Zn
0.391 0.865 0.627 Zn
0.777 0.523 0.183 B
0.723 0.477 0.683 B
0.223 0.477 0.817 B
0.277 0.523 0.317 B
0.853 0.705 0.401 B
0.647 0.295 0.901 B
0.147 0.295 0.599 B
0.353 0.705 0.099 B
0.977 0.073 0.790 B
0.523 0.927 0.290 B
0.023 0.927 0.210 B
0.477 0.073 0.710 B
0.086 0.796 0.912 B
0.414 0.204 0.412 B
0.914 0.204 0.088 B
0.586 0.796 0.588 B
0.139 0.775 0.603 B
0.361 0.225 0.103 B
0.861 0.225 0.397 B
0.639 0.775 0.897 B
0.916 0.563 0.208 H
0.584 0.437 0.708 H
0.084 0.437 0.792 H
0.416 0.563 0.292 H
0.717 0.389 0.201 H
0.783 0.611 0.701 H
0.283 0.611 0.799 H
0.217 0.389 0.299 H
0.696 0.591 0.215 H
0.804 0.409 0.715 H
0.304 0.409 0.785 H
0.196 0.591 0.285 H
0.788 0.558 0.113 H
0.712 0.442 0.613 H
0.212 0.442 0.887 H
0.288 0.558 0.387 H
0.922 0.819 0.440 H
0.578 0.181 0.940 H
0.078 0.181 0.560 H
0.422 0.819 0.060 H
0.764 0.743 0.356 H
0.736 0.257 0.856 H
0.236 0.257 0.644 H
0.264 0.743 0.144 H
0.958 0.669 0.366 H
0.542 0.331 0.866 H
0.042 0.331 0.634 H
0.458 0.669 0.134 H
0.772 0.590 0.435 H
0.728 0.410 0.935 H
0.228 0.410 0.565 H
0.272 0.590 0.065 H
0.932 0.944 0.761 H
0.568 0.056 0.261 H
0.068 0.056 0.239 H
0.432 0.944 0.739 H
0.948 0.086 0.862 H
0.552 0.914 0.362 H
0.052 0.914 0.138 H
0.448 0.086 0.638 H
0.121 0.120 0.785 H
0.379 0.880 0.285 H
0.879 0.880 0.215 H
0.621 0.120 0.715 H
0.907 0.143 0.754 H
0.593 0.857 0.254 H
0.093 0.857 0.246 H
0.407 0.143 0.746 H
0.996 0.738 0.853 H
0.504 0.262 0.353 H
0.004 0.262 0.147 H
0.496 0.738 0.647 H
0.214 0.862 0.883 H
0.286 0.138 0.383 H
0.786 0.138 0.117 H
0.714 0.862 0.617 H
0.052 0.894 0.952 H
0.448 0.106 0.452 H
0.948 0.106 0.048 H
0.552 0.894 0.548 H
0.070 0.688 0.955 H
0.430 0.312 0.455 H
0.930 0.312 0.045 H
0.570 0.688 0.545 H
0.074 0.655 0.569 H
0.426 0.345 0.069 H
0.926 0.345 0.431 H
0.574 0.655 0.931 H
0.197 0.741 0.665 H
0.303 0.259 0.165 H
0.803 0.259 0.335 H
0.697 0.741 0.835 H
0.238 0.858 0.554 H
0.262 0.142 0.054 H
0.762 0.142 0.446 H
0.738 0.858 0.946 H
0.063 0.851 0.625 H
0.437 0.149 0.125 H
0.937 0.149 0.375 H
0.563 0.851 0.875 H
```

=====

Result of the stability comparison: model B is the most stable of them.